# 1
This record from Materials Project describes an optimized crystal structure of EuGe3Pt. The functional is r2SCAN.

Unit cell a=4.4827 b=4.4827 c=10.0217 alpha=90.00 beta=90.00 gamma=90.00
Closest atoms and distances in Å follow each position.
Space group I4mm (No. 107)
Inequivalent atoms, fractional coordinates:
Eu (0.0000, 0.0000, 0.0000) [2 per cell]  12 Ge 3.29-3.43, 5 Pt 3.51
Ge (0.0000, 0.0000, 0.5947) [2 per cell]  1 Pt 2.45, 4 Ge 2.68
Ge (0.0000, 0.5000, 0.2409) [4 per cell]  2 Pt 2.49, 2 Ge 2.68
Pt (0.0000, 0.0000, 0.3503) [2 per cell]  5 Ge 2.45-2.49

## Properties
Crystal system: tetragonal
Total moment, μB per atom: 1.3698
Energy of formation from the pure elements, eV/atom: -0.7016

***

# 2
This record from Materials Project describes an optimized crystal structure of Li2InPb. The functional is r2SCAN.

Unit cell a=6.9112 b=6.9112 c=6.9112 alpha=90.00 beta=90.00 gamma=90.00
Closest atoms and distances in Å follow each position.
Space group Fm-3m (No. 225)
Inequivalent atoms, fractional coordinates:
Li (0.2500, 0.2500, 0.2500) [8 per cell]  4 In 2.99, 4 Pb 2.99
In (0.0000, 0.0000, 0.0000) [4 per cell]  8 Li 2.99
Pb (0.0000, 0.0000, 0.5000) [4 per cell]  8 Li 2.99

## Properties
Crystal system: cubic
Total moment, μB per atom: 0.0000
Energy of formation from the pure elements, eV/atom: -0.3336

***

# 3
This record from Materials Project describes an optimized crystal structure of TbIn2Ni. The functional is r2SCAN.

Unit cell a=4.3375 b=10.4327 c=7.2938 alpha=90.00 beta=90.00 gamma=90.00
Closest atoms and distances in Å follow each position.
Space group Cmcm (No. 63)
Inequivalent atoms, fractional coordinates:
Tb (0.0000, 0.0686, 0.2500) [4 per cell]  3 Ni 2.93-3.15, 4 In 3.18
In (0.0000, 0.3558, 0.0499) [8 per cell]  3 Ni 2.65-2.71, 1 In 2.92
Ni (0.0000, 0.2121, 0.7500) [4 per cell]  6 In 2.65-2.71, 1 Tb 2.93

## Properties
Crystal system: orthorhombic
Total moment, μB per atom: 0.0000
Energy of formation from the pure elements, eV/atom: -0.5334

***

# 4
This record from Materials Project describes an optimized crystal structure of MnP4O11. The functional is r2SCAN.

Unit cell a=8.2419 b=12.4471 c=11.3564 alpha=90.00 beta=131.21 gamma=90.00
Closest atoms and distances in Å follow each position.
Space group P2_1/c (No. 14)
Inequivalent atoms, fractional coordinates:
Mn (0.0080, 0.0300, 0.2367) [4 per cell]  6 O 2.13-2.20
P (0.0011, 0.7123, 0.9007) [4 per cell]  4 O 1.46-1.63
P (0.3443, 0.5038, 0.6595) [4 per cell]  4 O 1.47-1.63
P (0.3506, 0.1517, 0.5994) [4 per cell]  4 O 1.45-1.59
P (0.3505, 0.6670, 0.2328) [4 per cell]  4 O 1.45-1.58
O (0.0021, 0.6035, 0.8514) [4 per cell]  1 P 1.47
O (0.0360, 0.1908, 0.1868) [4 per cell]  1 P 1.46
O (0.1657, 0.2170, 0.5686) [4 per cell]  2 P 1.55-1.63
O (0.2099, 0.5321, 0.6974) [4 per cell]  1 P 1.47
O (0.2204, 0.6040, 0.2512) [4 per cell]  1 P 1.45
O (0.2244, 0.7334, 0.0788) [4 per cell]  2 P 1.56-1.63
O (0.2607, 0.0130, 0.9998) [4 per cell]  1 P 1.47
O (0.2914, 0.0827, 0.4732) [4 per cell]  1 P 1.45
O (0.4641, 0.0934, 0.7591) [4 per cell]  2 P 1.57-1.63
O (0.4847, 0.1015, 0.2640) [4 per cell]  2 P 1.56-1.63
O (0.4874, 0.7438, 0.8636) [4 per cell]  2 P 1.58-1.59

## Properties
Crystal system: monoclinic
Total moment, μB per atom: 0.3125
Energy of formation from the pure elements, eV/atom: -2.2826

***

# 5
This record from Materials Project describes an optimized crystal structure of PmYTl2. The functional is r2SCAN.

Unit cell a=7.6482 b=7.6482 c=7.6482 alpha=90.00 beta=90.00 gamma=90.00
Closest atoms and distances in Å follow each position.
Space group Fm-3m (No. 225)
Inequivalent atoms, fractional coordinates:
Pm (0.0000, 0.0000, 0.0000) [4 per cell]  8 Tl 3.31
Y (0.0000, 0.0000, 0.5000) [4 per cell]  8 Tl 3.31
Tl (0.2500, 0.2500, 0.2500) [8 per cell]  4 Y 3.31, 4 Pm 3.31

## Properties
Crystal system: cubic
Total moment, μB per atom: 0.0000
Energy of formation from the pure elements, eV/atom: -0.4835

***

# 6
This record from Materials Project describes an optimized crystal structure of LuCu2. The functional is r2SCAN.

Unit cell a=4.2204 b=6.5579 c=7.1613 alpha=90.00 beta=90.00 gamma=90.00
Closest atoms and distances in Å follow each position.
Space group Imma (No. 74)
Inequivalent atoms, fractional coordinates:
Lu (0.0000, 0.2500, 0.0476) [4 per cell]  12 Cu 2.87-3.04
Cu (0.0000, 0.0525, 0.6635) [8 per cell]  4 Cu 2.44-2.59

## Properties
Crystal system: orthorhombic
Total moment, μB per atom: 0.0000
Energy of formation from the pure elements, eV/atom: -0.3011

***

# 7
This record from Materials Project describes an optimized crystal structure of Pa. The functional is r2SCAN.

Unit cell a=4.6549 b=4.6549 c=4.6549 alpha=90.00 beta=90.00 gamma=90.00
Closest atoms and distances in Å follow each position.
Space group Fm-3m (No. 225)
Inequivalent atoms, fractional coordinates:
Pa (0.0000, 0.0000, 0.0000) [4 per cell]  12 Pa 3.29

## Properties
Crystal system: cubic
Total moment, μB per atom: 0.0000
Energy of formation from the pure elements, eV/atom: 0.0296

***

# 8
This record from Materials Project describes an optimized crystal structure of PbS2. The functional is r2SCAN.

Unit cell a=6.1499 b=6.1499 c=7.5532 alpha=90.00 beta=90.00 gamma=90.00
Closest atoms and distances in Å follow each position.
Space group I4/mcm (No. 140)
Inequivalent atoms, fractional coordinates:
Pb (0.0000, 0.0000, 0.2500) [4 per cell]  8 S 3.10
S (0.1190, 0.3810, 0.0000) [8 per cell]  1 S 2.07

## Properties
Crystal system: tetragonal
Total moment, μB per atom: 0.0000
Energy of formation from the pure elements, eV/atom: -0.3861

***

# 9
This record from Materials Project describes an optimized crystal structure of Li5Cu3O6. The functional is r2SCAN.

Unit cell a=4.6839 b=5.2142 c=6.4890 alpha=67.15 beta=79.55 gamma=83.46
Closest atoms and distances in Å follow each position.
Space group P1 (No. 1)
Inequivalent atoms, fractional coordinates:
Li (0.0000, 0.0000, 0.0000) [1 per cell]  4 O 1.87-1.96
Li (0.1347, 0.4517, 0.6885) [1 per cell]  4 O 1.91-2.07
Li (0.4566, 0.0623, 0.0798) [1 per cell]  4 O 1.94-2.10
Li (0.6344, 0.3308, 0.6736) [1 per cell]  4 O 1.86-2.02
Li (0.7917, 0.7541, 0.3841) [1 per cell]  4 O 1.93-1.95
Cu (0.2154, 0.0402, 0.5336) [1 per cell]  4 O 1.91-1.95
Cu (0.5647, 0.7214, 0.8580) [1 per cell]  4 O 1.89-1.97
Cu (0.8871, 0.3810, 0.1948) [1 per cell]  4 O 1.84-1.87
O (0.0810, 0.0379, 0.2694) [1 per cell]  2 Cu 1.84-1.94, 3 Li 1.94-1.95
O (0.3423, 0.0751, 0.7917) [1 per cell]  4 Li 1.86-2.01, 2 Cu 1.94-1.95
O (0.4430, 0.6985, 0.6043) [1 per cell]  2 Cu 1.89-1.91, 3 Li 1.91-1.94
O (0.7159, 0.7360, 0.1075) [1 per cell]  2 Cu 1.84-1.91, 3 Li 1.87-1.94
O (0.7775, 0.3568, 0.9398) [1 per cell]  2 Cu 1.87-1.97, 4 Li 1.96-2.10
O (0.9733, 0.3816, 0.4612) [1 per cell]  2 Cu 1.85-1.94, 3 Li 1.87-1.94

## Properties
Crystal system: triclinic
Total moment, μB per atom: 0.1427
Energy of formation from the pure elements, eV/atom: -1.4971

***

# 10
This record from Materials Project describes an optimized crystal structure of Lu5NiPb3. The functional is r2SCAN.

Unit cell a=8.8972 b=8.8972 c=6.5410 alpha=90.00 beta=90.00 gamma=120.00
Closest atoms and distances in Å follow each position.
Space group P6_3/mcm (No. 193)
Inequivalent atoms, fractional coordinates:
Lu (0.0000, 0.2355, 0.2500) [6 per cell]  2 Ni 2.66
Lu (0.3333, 0.6667, 0.0000) [4 per cell]  6 Pb 3.17, 2 Lu 3.27
Ni (0.0000, 0.0000, 0.0000) [2 per cell]  6 Lu 2.66
Pb (0.0000, 0.4002, 0.7500) [6 per cell]  7 Lu 3.10-3.24

## Properties
Crystal system: hexagonal
Total moment, μB per atom: 0.0008
Energy of formation from the pure elements, eV/atom: -0.5933

***

# 11
This record from Materials Project describes an optimized crystal structure of Nd2NiB10. The functional is r2SCAN.

Unit cell a=5.6241 b=11.2011 c=4.1925 alpha=90.00 beta=90.00 gamma=90.00
Closest atoms and distances in Å follow each position.
Space group Pbam (No. 55)
Inequivalent atoms, fractional coordinates:
Nd (0.1884, 0.1369, 0.0000) [4 per cell]  20 B 2.88-3.01, 2 Ni 3.13
Ni (0.0000, 0.5000, 0.5000) [2 per cell]  8 B 2.10-2.15
B (0.0316, 0.3134, 0.5000) [4 per cell]  4 B 1.68-1.77
B (0.1267, 0.9586, 0.5000) [4 per cell]  4 B 1.70-1.79
B (0.1591, 0.8022, 0.5000) [4 per cell]  5 B 1.68-1.76
B (0.2000, 0.3861, 0.2000) [8 per cell]  4 B 1.68-1.79

## Properties
Crystal system: orthorhombic
Total moment, μB per atom: 0.0000
Energy of formation from the pure elements, eV/atom: -0.5941

***

# 12
This record from Materials Project describes an optimized crystal structure of CaAcRh2. The functional is r2SCAN.

Unit cell a=7.1145 b=7.1145 c=7.1145 alpha=90.00 beta=90.00 gamma=90.00
Closest atoms and distances in Å follow each position.
Space group Fm-3m (No. 225)
Inequivalent atoms, fractional coordinates:
Ca (0.0000, 0.0000, 0.0000) [4 per cell]  8 Rh 3.08
Ac (0.0000, 0.0000, 0.5000) [4 per cell]  8 Rh 3.08
Rh (0.2500, 0.2500, 0.2500) [8 per cell]  4 Ac 3.08, 4 Ca 3.08

## Properties
Crystal system: cubic
Total moment, μB per atom: 0.0000
Energy of formation from the pure elements, eV/atom: -0.4531

***

# 13
This record from Materials Project describes an optimized crystal structure of PuCl2. The functional is r2SCAN.

Unit cell a=7.0611 b=7.0611 c=3.6946 alpha=90.00 beta=90.00 gamma=90.00
Closest atoms and distances in Å follow each position.
Space group P4_2/mnm (No. 136)
Inequivalent atoms, fractional coordinates:
Pu (0.0000, 0.0000, 0.0000) [2 per cell]  6 Cl 2.81-2.86
Cl (0.2184, 0.2184, 0.5000) [4 per cell]  3 Pu 2.81-2.86

## Properties
Crystal system: tetragonal
Total moment, μB per atom: 2.0000
Energy of formation from the pure elements, eV/atom: -2.1523

***

# 14
This record from Materials Project describes an optimized crystal structure of Tb3Ge3Ir2. The functional is r2SCAN.

Unit cell a=4.3121 b=10.4839 c=14.3048 alpha=90.00 beta=90.00 gamma=90.00
Closest atoms and distances in Å follow each position.
Space group Cmcm (No. 63)
Inequivalent atoms, fractional coordinates:
Tb (0.0000, 0.0853, 0.1097) [8 per cell]  4 Ir 2.99-3.26, 7 Ge 3.03-3.26
Tb (0.0000, 0.3582, 0.2500) [4 per cell]  5 Ge 3.00-3.15, 4 Ir 3.08
Ge (0.0000, 0.3414, 0.7500) [4 per cell]  2 Ir 2.59
Ge (0.0000, 0.3745, 0.0358) [8 per cell]  3 Ir 2.48-2.69
Ir (0.0000, 0.1998, 0.6021) [8 per cell]  4 Ge 2.48-2.69

## Properties
Crystal system: orthorhombic
Total moment, μB per atom: 0.0000
Energy of formation from the pure elements, eV/atom: -1.0359

***

# 15
This record from Materials Project describes an optimized crystal structure of Yb5CdCu2. The functional is r2SCAN.

Unit cell a=7.7019 b=7.7019 c=12.7395 alpha=90.00 beta=90.00 gamma=90.00
Closest atoms and distances in Å follow each position.
Space group I4/mcm (No. 140)
Inequivalent atoms, fractional coordinates:
Yb (0.0000, 0.0000, 0.0000) [4 per cell]  4 Cu 3.03, 2 Cd 3.18, 8 Yb 3.39
Yb (0.1598, 0.3402, 0.1388) [16 per cell]  3 Cu 2.84-2.92
Cd (0.0000, 0.0000, 0.2500) [4 per cell]  10 Yb 3.18-3.22
Cu (0.1273, 0.3727, 0.5000) [8 per cell]  1 Cu 2.77, 8 Yb 2.84-3.03

## Properties
Crystal system: tetragonal
Total moment, μB per atom: 0.1433
Energy of formation from the pure elements, eV/atom: -0.2333

***

# 16
This record from Materials Project describes an optimized crystal structure of SmSi2Ni. The functional is r2SCAN.

Unit cell a=4.0883 b=16.3458 c=4.0102 alpha=90.00 beta=90.00 gamma=90.00
Closest atoms and distances in Å follow each position.
Space group Cmcm (No. 63)
Inequivalent atoms, fractional coordinates:
Sm (0.0000, 0.1064, 0.2500) [4 per cell]  10 Si 3.06-3.16, 4 Ni 3.11
Si (0.0000, 0.2498, 0.7500) [4 per cell]  4 Ni 2.31-2.34
Si (0.0000, 0.4592, 0.2500) [4 per cell]  1 Ni 2.28, 2 Si 2.41
Ni (0.0000, 0.3197, 0.2500) [4 per cell]  5 Si 2.28-2.34

## Properties
Crystal system: orthorhombic
Total moment, μB per atom: 0.0000
Energy of formation from the pure elements, eV/atom: -0.8709

***

# 17
This record from Materials Project describes an optimized crystal structure of ScSi2Rh. The functional is r2SCAN.

Unit cell a=6.3122 b=4.0278 c=9.5333 alpha=90.00 beta=90.00 gamma=90.00
Closest atoms and distances in Å follow each position.
Space group Pnma (No. 62)
Inequivalent atoms, fractional coordinates:
Sc (0.2394, 0.2500, 0.1820) [4 per cell]  7 Si 2.76-2.85, 3 Rh 2.86-2.97
Si (0.0444, 0.7500, 0.3418) [4 per cell]  2 Rh 2.41-2.45, 3 Si 2.49-2.64
Si (0.2325, 0.2500, 0.4716) [4 per cell]  3 Rh 2.42-2.53, 3 Si 2.49-2.64
Rh (0.0839, 0.2500, 0.9007) [4 per cell]  5 Si 2.41-2.53

## Properties
Crystal system: orthorhombic
Total moment, μB per atom: 0.0000
Energy of formation from the pure elements, eV/atom: -0.9408

***

# 18
This record from Materials Project describes an optimized crystal structure of Li3FeP2HO8. The functional is r2SCAN.

Unit cell a=4.9335 b=4.9983 c=6.1527 alpha=88.86 beta=89.44 gamma=67.86
Closest atoms and distances in Å follow each position.
Space group P-1 (No. 2)
Inequivalent atoms, fractional coordinates:
Li (0.0000, 0.0000, 0.0000) [1 per cell]  6 O 2.07-2.28
Li (0.3783, 0.2209, 0.7442) [2 per cell]  3 O 1.93-1.98
Fe (0.0000, 0.0000, 0.5000) [1 per cell]  6 O 2.02-2.21
P (0.3587, 0.3593, 0.2525) [2 per cell]  4 O 1.53-1.57
H (0.0000, 0.5000, 0.0000) [1 per cell]  2 O 1.20
O (0.2166, 0.2948, 0.0425) [2 per cell]  1 H 1.20
O (0.2384, 0.2466, 0.4485) [2 per cell]  1 P 1.53
O (0.2746, 0.6869, 0.2613) [2 per cell]  1 P 1.53
O (0.3109, 0.8099, 0.7642) [2 per cell]  1 P 1.53

## Properties
Crystal system: triclinic
Total moment, μB per atom: 0.2667
Energy of formation from the pure elements, eV/atom: -2.2522

***

# 19
This record from Materials Project describes an optimized crystal structure of EuZn2Ge2. The functional is r2SCAN.

Unit cell a=4.2985 b=4.2985 c=10.6104 alpha=90.00 beta=90.00 gamma=90.00
Closest atoms and distances in Å follow each position.
Space group I4/mmm (No. 139)
Inequivalent atoms, fractional coordinates:
Eu (0.0000, 0.0000, 0.0000) [2 per cell]  8 Ge 3.29, 8 Zn 3.41
Zn (0.0000, 0.5000, 0.2500) [4 per cell]  4 Ge 2.56
Ge (0.0000, 0.0000, 0.3813) [4 per cell]  1 Ge 2.52, 4 Zn 2.56

## Properties
Crystal system: tetragonal
Total moment, μB per atom: 1.4027
Energy of formation from the pure elements, eV/atom: -0.4469